1.
Na2Ta5Ga3P12O48 GGA-PBE relaxed; magnetic moment = 0.00 μB/atom; electronic total energy = -7.729 eV/atom; energy of formation = -66.054 kcal/mol of atoms
1.0
8.659 0.000 0.000
0.003 14.995 0.000
0.008 0.008 22.445
Na Ta Ga P O
6 15 9 36 144
direct
0.000 0.000 0.000 Na
0.000 0.000 0.499 Na
0.000 0.664 0.660 Na
0.497 0.497 0.500 Na
0.498 0.497 0.999 Na
0.499 0.165 0.162 Na
0.001 0.331 0.972 Ta
0.497 0.833 0.972 Ta
0.498 0.831 0.472 Ta
0.499 0.834 0.186 Ta
0.500 0.166 0.803 Ta
0.500 0.168 0.519 Ta
0.500 0.829 0.684 Ta
0.501 0.500 0.847 Ta
0.502 0.495 0.351 Ta
0.996 0.002 0.350 Ta
0.997 0.663 0.305 Ta
0.997 0.998 0.848 Ta
0.999 0.329 0.186 Ta
0.999 0.335 0.682 Ta
0.999 0.665 0.020 Ta
0.000 0.001 0.142 Ga
0.000 0.998 0.640 Ga
0.001 0.332 0.473 Ga
0.497 0.499 0.640 Ga
0.498 0.496 0.142 Ga
0.499 0.166 0.017 Ga
0.501 0.167 0.309 Ga
0.999 0.662 0.516 Ga
0.999 0.665 0.806 Ga
0.135 0.187 0.576 P
0.137 0.857 0.243 P
0.139 0.806 0.910 P
0.141 0.524 0.909 P
0.147 0.478 0.575 P
0.152 0.139 0.243 P
0.204 0.831 0.578 P
0.217 0.164 0.913 P
0.218 0.499 0.243 P
0.281 0.664 0.413 P
0.283 0.998 0.742 P
0.293 0.332 0.078 P
0.348 0.306 0.410 P
0.348 0.640 0.742 P
0.351 0.979 0.078 P
0.356 0.357 0.742 P
0.358 0.025 0.410 P
0.361 0.686 0.079 P
0.636 0.352 0.242 P
0.640 0.307 0.913 P
0.640 0.639 0.242 P
0.641 0.025 0.913 P
0.647 0.684 0.577 P
0.649 0.975 0.578 P
0.712 0.004 0.243 P
0.713 0.337 0.576 P
0.717 0.666 0.910 P
0.784 0.171 0.411 P
0.788 0.503 0.742 P
0.788 0.836 0.079 P
0.848 0.474 0.079 P
0.851 0.184 0.078 P
0.859 0.141 0.741 P
0.859 0.806 0.413 P
0.861 0.852 0.742 P
0.862 0.520 0.414 P
0.065 0.895 0.187 O
0.066 0.229 0.522 O
0.067 0.570 0.573 O
0.067 0.765 0.966 O
0.069 0.093 0.585 O
0.069 0.563 0.855 O
0.070 0.902 0.904 O
0.071 0.098 0.299 O
0.071 0.232 0.235 O
0.071 0.763 0.255 O
0.072 0.430 0.922 O
0.072 0.432 0.633 O
0.108 0.083 0.903 O
0.109 0.747 0.572 O
0.110 0.580 0.254 O
0.110 0.917 0.584 O
0.111 0.246 0.920 O
0.111 0.417 0.235 O
0.112 0.246 0.633 O
0.114 0.915 0.299 O
0.115 0.581 0.966 O
0.118 0.751 0.854 O
0.119 0.419 0.521 O
0.121 0.084 0.188 O
0.176 0.653 0.752 O
0.177 0.984 0.084 O
0.179 0.320 0.421 O
0.180 0.011 0.404 O
0.181 0.345 0.736 O
0.184 0.319 0.133 O
0.184 0.679 0.068 O
0.184 0.680 0.356 O
0.184 0.983 0.800 O
0.185 0.345 0.023 O
0.186 0.017 0.688 O
0.187 0.647 0.468 O
0.312 0.146 0.968 O
0.312 0.518 0.187 O
0.313 0.845 0.523 O
0.314 0.179 0.856 O
0.314 0.819 0.633 O
0.314 0.819 0.921 O
0.314 0.845 0.235 O
0.315 0.179 0.569 O
0.316 0.483 0.299 O
0.319 0.512 0.904 O
0.321 0.486 0.585 O
0.323 0.153 0.252 O
0.379 0.583 0.688 O
0.381 0.081 0.467 O
0.381 0.252 0.355 O
0.384 0.414 0.800 O
0.385 0.746 0.133 O
0.387 0.747 0.420 O
0.387 0.918 0.023 O
0.388 0.079 0.755 O
0.388 0.247 0.072 O
0.388 0.916 0.736 O
0.389 0.417 0.083 O
0.390 0.583 0.402 O
0.426 0.264 0.755 O
0.426 0.930 0.422 O
0.427 0.598 0.800 O
0.427 0.931 0.133 O
0.428 0.062 0.354 O
0.428 0.733 0.736 O
0.429 0.401 0.403 O
0.429 0.732 0.023 O
0.430 0.593 0.084 O
0.432 0.069 0.072 O
0.432 0.265 0.466 O
0.433 0.396 0.688 O
0.564 0.268 0.968 O
0.566 0.395 0.187 O
0.567 0.595 0.583 O
0.567 0.598 0.299 O
0.570 0.065 0.856 O
0.570 0.066 0.568 O
0.570 0.259 0.251 O
0.570 0.734 0.234 O
0.571 0.402 0.903 O
0.571 0.930 0.920 O
0.571 0.932 0.633 O
0.572 0.732 0.523 O
0.605 0.083 0.251 O
0.606 0.416 0.585 O
0.609 0.582 0.904 O
0.609 0.746 0.922 O
0.612 0.251 0.569 O
0.612 0.746 0.633 O
0.613 0.251 0.856 O
0.613 0.413 0.299 O
0.613 0.917 0.235 O
0.614 0.917 0.523 O
0.620 0.583 0.187 O
0.621 0.081 0.968 O
0.675 0.486 0.084 O
0.677 0.180 0.072 O
0.682 0.148 0.466 O
0.682 0.512 0.402 O
0.683 0.819 0.420 O
0.683 0.846 0.735 O
0.684 0.152 0.755 O
0.684 0.847 0.022 O
0.685 0.485 0.799 O
0.685 0.516 0.688 O
0.685 0.817 0.133 O
0.689 0.180 0.355 O
0.810 0.682 0.855 O
0.811 0.016 0.187 O
0.811 0.350 0.521 O
0.813 0.318 0.633 O
0.814 0.653 0.254 O
0.814 0.984 0.299 O
0.815 0.346 0.234 O
0.815 0.649 0.966 O
0.816 0.319 0.920 O
0.818 0.011 0.903 O
0.821 0.681 0.572 O
0.822 0.985 0.584 O
0.875 0.582 0.467 O
0.877 0.082 0.688 O
0.884 0.417 0.022 O
0.885 0.751 0.356 O
0.886 0.246 0.133 O
0.886 0.416 0.735 O
0.886 0.750 0.068 O
0.886 0.913 0.799 O
0.887 0.082 0.403 O
0.891 0.248 0.421 O
0.891 0.917 0.084 O
0.892 0.583 0.752 O
0.926 0.232 0.022 O
0.927 0.432 0.133 O
0.927 0.566 0.068 O
0.927 0.567 0.357 O
0.927 0.902 0.403 O
0.928 0.234 0.736 O
0.929 0.098 0.799 O
0.929 0.428 0.419 O
0.929 0.760 0.752 O
0.931 0.094 0.083 O
0.933 0.897 0.688 O
0.935 0.768 0.468 O

2.
NaTaGaP3O12 GGA-PBE relaxed; magnetic moment = 0.00 μB/atom; electronic total energy = -7.447 eV/atom; energy of formation = -64.652 kcal/mol of atoms
1.0
-6.029 -0.994 6.086
-1.165 -3.433 -7.826
10.000 -18.927 6.814
O Ta P Ga Na
72 6 18 6 6
direct
0.465 0.163 0.528 O
0.493 0.127 0.640 O
0.634 0.507 0.640 O
0.833 0.806 0.591 O
0.861 0.500 0.424 O
0.689 0.522 0.242 O
0.194 0.167 0.091 O
0.861 0.360 0.924 O
0.160 0.700 0.473 O
0.640 0.500 0.924 O
0.493 0.366 0.140 O
0.698 0.535 0.528 O
0.640 0.139 0.424 O
0.873 0.366 0.640 O
0.527 0.834 0.757 O
0.166 0.694 0.757 O
0.023 0.188 0.909 O
0.356 0.501 0.076 O
0.833 0.027 0.091 O
0.306 0.834 0.257 O
0.160 0.460 0.973 O
0.194 0.027 0.591 O
0.300 0.840 0.973 O
0.166 0.977 0.909 O
0.527 0.694 0.257 O
0.832 0.311 0.242 O
0.540 0.700 0.973 O
0.023 0.834 0.409 O
0.827 0.033 0.806 O
0.131 0.496 0.861 O
0.798 0.969 0.695 O
0.967 0.794 0.806 O
0.499 0.644 0.576 O
0.499 0.855 0.076 O
0.973 0.167 0.591 O
0.131 0.635 0.361 O
0.206 0.033 0.306 O
0.540 0.840 0.473 O
0.873 0.507 0.140 O
0.634 0.127 0.140 O
0.973 0.806 0.091 O
0.812 0.834 0.909 O
0.171 0.202 0.695 O
0.698 0.163 0.028 O
0.300 0.460 0.473 O
0.689 0.168 0.742 O
0.171 0.969 0.195 O
0.145 0.501 0.576 O
0.031 0.202 0.195 O
0.356 0.855 0.576 O
0.465 0.302 0.028 O
0.504 0.869 0.361 O
0.166 0.473 0.257 O
0.145 0.644 0.076 O
0.827 0.794 0.306 O
0.837 0.535 0.028 O
0.478 0.168 0.242 O
0.832 0.522 0.742 O
0.500 0.139 0.924 O
0.365 0.496 0.361 O
0.478 0.311 0.742 O
0.500 0.360 0.424 O
0.031 0.829 0.695 O
0.504 0.635 0.861 O
0.798 0.829 0.195 O
0.306 0.473 0.757 O
0.837 0.302 0.528 O
0.206 0.173 0.806 O
0.166 0.188 0.409 O
0.967 0.173 0.306 O
0.812 0.977 0.409 O
0.365 0.869 0.861 O
0.667 0.333 0.478 Ta
0.000 0.000 0.145 Ta
0.667 0.333 0.978 Ta
0.000 0.000 0.645 Ta
0.333 0.667 0.312 Ta
0.333 0.667 0.812 Ta
0.716 0.708 0.251 P
0.049 0.375 0.918 P
0.325 0.951 0.918 P
0.992 0.284 0.251 P
0.625 0.675 0.918 P
0.049 0.675 0.418 P
0.959 0.617 0.085 P
0.325 0.375 0.418 P
0.292 0.284 0.751 P
0.716 0.008 0.751 P
0.659 0.041 0.085 P
0.383 0.041 0.585 P
0.625 0.951 0.418 P
0.959 0.341 0.585 P
0.992 0.708 0.751 P
0.292 0.008 0.251 P
0.383 0.341 0.085 P
0.659 0.617 0.585 P
0.667 0.333 0.686 Ga
0.000 0.000 0.352 Ga
0.333 0.667 0.519 Ga
0.333 0.667 0.019 Ga
0.667 0.333 0.186 Ga
0.000 0.000 0.852 Ga
0.333 0.667 0.663 Na
0.000 0.000 0.996 Na
0.667 0.333 0.329 Na
0.000 0.000 0.496 Na
0.333 0.667 0.163 Na
0.667 0.333 0.829 Na

3.
Na2TiGaP3O12 GGA-PBE relaxed; magnetic moment = 0.00 μB/atom; electronic total energy = -7.032 eV/atom; energy of formation = -63.918 kcal/mol of atoms
1.0
8.674 -0.030 0.012
-4.364 7.497 -0.012
0.030 -0.018 22.096
Ga O P Na Ti
6 72 18 12 6
direct
0.000 0.994 0.351 Ga
0.339 0.667 0.518 Ga
0.333 0.661 0.018 Ga
0.667 0.328 0.685 Ga
0.672 0.333 0.185 Ga
0.006 0.000 0.851 Ga
0.978 0.810 0.090 O
0.142 0.502 0.576 O
0.488 0.366 0.142 O
0.032 0.826 0.692 O
0.504 0.867 0.361 O
0.466 0.300 0.029 O
0.493 0.125 0.640 O
0.190 0.022 0.590 O
0.967 0.178 0.309 O
0.542 0.706 0.972 O
0.155 0.700 0.475 O
0.476 0.169 0.243 O
0.017 0.187 0.910 O
0.311 0.476 0.756 O
0.822 0.033 0.809 O
0.973 0.164 0.590 O
0.527 0.830 0.756 O
0.498 0.642 0.577 O
0.684 0.521 0.243 O
0.961 0.791 0.805 O
0.358 0.502 0.077 O
0.351 0.854 0.577 O
0.133 0.496 0.861 O
0.840 0.301 0.525 O
0.164 0.191 0.409 O
0.165 0.976 0.910 O
0.300 0.845 0.975 O
0.170 0.200 0.694 O
0.502 0.360 0.424 O
0.691 0.169 0.743 O
0.700 0.534 0.529 O
0.640 0.498 0.924 O
0.837 0.534 0.027 O
0.645 0.143 0.423 O
0.800 0.830 0.194 O
0.306 0.831 0.257 O
0.836 0.807 0.590 O
0.507 0.635 0.859 O
0.524 0.689 0.256 O
0.831 0.524 0.743 O
0.193 0.164 0.090 O
0.174 0.968 0.192 O
0.133 0.634 0.362 O
0.634 0.512 0.642 O
0.146 0.649 0.077 O
0.627 0.125 0.139 O
0.541 0.841 0.473 O
0.813 0.983 0.410 O
0.699 0.160 0.025 O
0.170 0.473 0.256 O
0.857 0.355 0.923 O
0.365 0.493 0.359 O
0.169 0.694 0.757 O
0.498 0.858 0.076 O
0.208 0.174 0.807 O
0.366 0.867 0.862 O
0.875 0.507 0.140 O
0.503 0.140 0.923 O
0.800 0.967 0.695 O
0.294 0.458 0.472 O
0.860 0.497 0.423 O
0.836 0.027 0.090 O
0.831 0.309 0.243 O
0.826 0.792 0.307 O
0.033 0.200 0.195 O
0.875 0.373 0.639 O
0.159 0.459 0.973 O
0.479 0.316 0.743 O
0.809 0.836 0.909 O
0.466 0.163 0.527 O
0.024 0.835 0.410 O
0.209 0.039 0.305 O
0.046 0.376 0.918 P
0.046 0.673 0.418 P
0.993 0.287 0.251 P
0.327 0.954 0.918 P
0.289 0.999 0.250 P
0.379 0.340 0.085 P
0.624 0.954 0.418 P
0.379 0.043 0.584 P
0.334 0.377 0.416 P
0.713 0.007 0.751 P
0.623 0.666 0.916 P
0.660 0.621 0.585 P
0.957 0.621 0.084 P
0.290 0.287 0.751 P
0.956 0.333 0.583 P
0.001 0.711 0.750 P
0.713 0.710 0.251 P
0.667 0.044 0.083 P
0.699 0.030 0.916 Na
0.303 0.968 0.083 Na
0.032 0.697 0.583 Na
0.667 0.334 0.332 Na
0.001 0.000 0.999 Na
0.637 0.635 0.750 Na
0.000 0.999 0.499 Na
0.970 0.301 0.416 Na
0.666 0.333 0.832 Na
0.333 0.666 0.165 Na
0.365 0.363 0.250 Na
0.334 0.667 0.665 Na
0.992 0.999 0.147 Ti
0.335 0.674 0.314 Ti
0.001 0.008 0.647 Ti
0.326 0.665 0.814 Ti
0.668 0.341 0.980 Ti
0.659 0.332 0.480 Ti